Entry from the Materials Project database: crystalline V2C at its relaxed geometry (PBE).

* energy: -115.24 eV for the cell shown
* formation energy: -10.9 kcal/mol of atoms
* symmetry: Pbcn

Lattice parameters (Å, degrees): 4.5569 5.0431 5.7338 90.00 90.00 90.00
With the nearest neighbours (Å) after each atom.
Fractional coordinates of all 12 atoms:
V  0.2540  0.5764  0.6181  3 C 2.01-2.04
V  0.7460  0.9236  0.6181  3 C 2.01-2.04
V  0.7460  0.4236  0.3819  3 C 2.01-2.04
C  0.5000  0.7500  0.8728  6 V 2.01-2.04
V  0.2540  0.0764  0.3819  3 C 2.01-2.04
V  0.2460  0.0764  0.8819  3 C 2.01-2.04
V  0.7540  0.9236  0.1181  3 C 2.01-2.04
V  0.2460  0.5764  0.1181  3 C 2.01-2.04
C  0.5000  0.2500  0.1272  6 V 2.01-2.04
V  0.7540  0.4236  0.8819  3 C 2.01-2.04
C  0.0000  0.7500  0.3728  6 V 2.01-2.04
C  0.0000  0.2500  0.6272  6 V 2.01-2.04